URuC2 | the Materials Project | GGA-PBE | relaxed; final energy = -156.9 eV per cell
1.0
5.4855 0.0000 0.0000
0.0000 3.3135 0.0000
0.0000 0.0000 10.8371
U Ru C
4 4 8
Cartesian
0.4681 0.8284 1.5467 U
2.2747 2.4851 6.9653 U
3.2108 0.8284 3.8718 U
5.0174 2.4851 9.2904 U
0.5122 2.4851 4.3522 Ru
2.2306 0.8284 9.7708 Ru
3.2549 2.4851 1.0664 Ru
4.9733 0.8284 6.4849 Ru
0.8279 0.8284 8.1798 C
1.3028 0.8284 5.3189 C
1.4400 2.4851 10.7375 C
1.9148 2.4851 2.7612 C
3.5707 0.8284 8.0759 C
4.0455 0.8284 0.0996 C
4.1827 2.4851 5.5182 C
4.6576 2.4851 2.6573 C